This record from Materials Project describes crystalline BMo2 at its relaxed geometry. The functional is r²SCAN. Values from VASP.

Quantum ESPRESSO input file:
```
&SYSTEM
  ibrav = 0, nat = 6, ntyp = 2
/
ATOMIC_SPECIES
B 10.81 B.upf
Mo 95.94 Mo.upf
ATOMIC_POSITIONS crystal
B 0.750 0.750 0.000
B 0.250 0.250 0.000
Mo 0.830 0.670 0.500
Mo 0.330 0.830 0.160
Mo 0.170 0.330 0.500
Mo 0.670 0.170 0.840
CELL_PARAMETERS angstrom
4.417 0.004 -1.228
-2.550 3.606 -1.228
-0.002 -0.004 4.584
```

Values from the calculation:
calculated formation energy	-0.322	eV per atom
E_tot	-120.91	eV/cell


This record from Materials Project describes crystalline BMo at its relaxed geometry. The functional is r²SCAN. Values from VASP.

Quantum ESPRESSO input file:
```
&SYSTEM
  ibrav = 0, nat = 8, ntyp = 2
/
ATOMIC_SPECIES
B 10.81 B.upf
Mo 95.94 Mo.upf
ATOMIC_POSITIONS crystal
B 0.470 0.720 0.439
B 0.220 0.970 0.939
B 0.530 0.280 0.561
B 0.780 0.030 0.061
Mo 0.322 0.572 0.144
Mo 0.072 0.822 0.644
Mo 0.678 0.428 0.856
Mo 0.928 0.178 0.356
CELL_PARAMETERS angstrom
3.067 0.000 -0.554
-0.100 3.065 -0.554
0.000 0.000 8.776
```

Values from the calculation:
E above lowest polymorph	0	meV/atom
calculated formation energy	-0.524	eV per atom
E_tot	-137.87	eV/cell


This record from Materials Project describes crystalline BMo at its relaxed geometry. The functional is r²SCAN. Values from VASP.

Quantum ESPRESSO input file:
```
&SYSTEM
  ibrav = 0, nat = 4, ntyp = 2
/
ATOMIC_SPECIES
B 10.81 B.upf
Mo 95.94 Mo.upf
ATOMIC_POSITIONS crystal
B 0.250 0.440 0.881
B 0.750 0.560 0.119
Mo 0.250 0.145 0.289
Mo 0.750 0.855 0.711
CELL_PARAMETERS angstrom
0.000 0.000 3.083
3.146 0.000 0.000
-1.573 4.253 0.000
```

Values from the calculation:
E above lowest polymorph	11	meV/atom
calculated formation energy	-0.513	eV per atom
E_tot	-68.89	eV/cell


This record from Materials Project describes crystalline Nb2B2Mo at its relaxed geometry. The functional is r²SCAN. Values from VASP.

Quantum ESPRESSO input file:
```
&SYSTEM
  ibrav = 0, nat = 10, ntyp = 3
/
ATOMIC_SPECIES
Nb 92.91 Nb.upf
B 10.81 B.upf
Mo 95.94 Mo.upf
ATOMIC_POSITIONS crystal
Nb 0.679 0.179 0.500
Nb 0.321 0.821 0.500
Nb 0.179 0.321 0.500
Nb 0.821 0.679 0.500
B 0.108 0.608 0.000
B 0.892 0.392 0.000
B 0.608 0.892 0.000
B 0.392 0.108 0.000
Mo 0.000 0.000 0.000
Mo 0.500 0.500 0.000
CELL_PARAMETERS angstrom
-2.423 5.046 -2.489
-5.381 -2.869 -0.578
-0.882 1.052 2.991
```

Values from the calculation:
calculated formation energy	-0.677	eV per atom
E_tot	-187.24	eV/cell


This record from Materials Project describes crystalline NbB4Mo3 at its relaxed geometry. The functional is r²SCAN. Values from VASP.

Quantum ESPRESSO input file:
```
&SYSTEM
  ibrav = 0, nat = 8, ntyp = 3
/
ATOMIC_SPECIES
Nb 92.91 Nb.upf
B 10.81 B.upf
Mo 95.94 Mo.upf
ATOMIC_POSITIONS crystal
Nb 0.853 0.147 0.000
B 0.560 0.440 0.000
B 0.560 0.440 0.500
B 0.442 0.558 0.253
B 0.442 0.558 0.747
Mo 0.856 0.144 0.500
Mo 0.144 0.856 0.254
Mo 0.144 0.856 0.746
CELL_PARAMETERS angstrom
-4.352 1.397 0.088
2.989 -2.171 2.693
1.793 5.436 2.393
```

Values from the calculation:
calculated formation energy	-0.586	eV per atom
E_tot	-137.02	eV/cell


This record from Materials Project describes crystalline NiB2Mo2 at its relaxed geometry. The functional is r²SCAN. Values from VASP.

Quantum ESPRESSO input file:
```
&SYSTEM
  ibrav = 0, nat = 5, ntyp = 3
/
ATOMIC_SPECIES
Ni 58.69 Ni.upf
B 10.81 B.upf
Mo 95.94 Mo.upf
ATOMIC_POSITIONS crystal
Ni 0.000 0.000 0.000
B 0.703 0.500 0.203
B 0.297 0.500 0.797
Mo 0.699 0.199 0.500
Mo 0.301 0.801 0.500
CELL_PARAMETERS angstrom
-0.071 -4.184 1.644
3.136 0.054 3.222
-3.883 2.053 -0.963
```

Values from the calculation:
calculated formation energy	-0.502	eV per atom
E_tot	-81.33	eV/cell


This record from Materials Project describes crystalline B2MoPb6O12 at its relaxed geometry. The functional is r²SCAN. Values from VASP.

Quantum ESPRESSO input file:
```
&SYSTEM
  ibrav = 0, nat = 42, ntyp = 4
/
ATOMIC_SPECIES
B 10.81 B.upf
Mo 95.94 Mo.upf
Pb 207.20 Pb.upf
O 16.00 O.upf
ATOMIC_POSITIONS crystal
B 0.747 0.253 0.500
B 0.747 0.253 0.000
B 0.253 0.747 0.500
B 0.253 0.747 0.000
Mo 0.269 0.269 0.250
Mo 0.731 0.731 0.750
Pb 0.090 0.506 0.250
Pb 0.494 0.910 0.750
Pb 0.910 0.494 0.750
Pb 0.506 0.090 0.250
Pb 0.866 0.655 0.407
Pb 0.345 0.134 0.593
Pb 0.866 0.655 0.093
Pb 0.345 0.134 0.907
Pb 0.134 0.345 0.593
Pb 0.655 0.866 0.407
Pb 0.134 0.345 0.907
Pb 0.655 0.866 0.093
O 0.159 0.725 0.404
O 0.275 0.841 0.596
O 0.159 0.725 0.096
O 0.275 0.841 0.904
O 0.841 0.275 0.596
O 0.725 0.159 0.404
O 0.841 0.275 0.904
O 0.725 0.159 0.096
O 0.671 0.329 0.500
O 0.671 0.329 0.000
O 0.329 0.671 0.500
O 0.329 0.671 0.000
O 0.779 0.480 0.250
O 0.520 0.221 0.750
O 0.221 0.520 0.750
O 0.480 0.779 0.250
O 0.177 0.023 0.250
O 0.977 0.823 0.750
O 0.823 0.977 0.750
O 0.023 0.177 0.250
O 0.430 0.430 0.372
O 0.570 0.570 0.628
O 0.430 0.430 0.128
O 0.570 0.570 0.872
CELL_PARAMETERS angstrom
0.889 6.962 -6.803
-6.020 -7.052 3.093
-5.345 7.721 7.202
```

Values from the calculation:
calculated formation energy	-1.829	eV per atom
E_tot	-977.10	eV/cell


This record from Materials Project describes crystalline TaB2Mo at its relaxed geometry. The functional is r²SCAN. Values from VASP.

Quantum ESPRESSO input file:
```
&SYSTEM
  ibrav = 0, nat = 4, ntyp = 3
/
ATOMIC_SPECIES
Ta 180.95 Ta.upf
B 10.81 B.upf
Mo 95.94 Mo.upf
ATOMIC_POSITIONS crystal
Ta 0.854 0.146 0.000
B 0.441 0.559 0.500
B 0.560 0.440 0.000
Mo 0.144 0.856 0.500
CELL_PARAMETERS angstrom
-3.119 2.229 2.502
2.891 -3.521 0.442
2.214 1.947 1.026
```

Values from the calculation:
calculated formation energy	-0.697	eV per atom
E_tot	-92.15	eV/cell


This record from Materials Project describes crystalline Tb3B7Mo at its relaxed geometry. The functional is r²SCAN. Values from VASP.

Quantum ESPRESSO input file:
```
&SYSTEM
  ibrav = 0, nat = 22, ntyp = 3
/
ATOMIC_SPECIES
Tb 158.93 Tb.upf
B 10.81 B.upf
Mo 95.94 Mo.upf
ATOMIC_POSITIONS crystal
Tb 0.257 0.743 0.250
Tb 0.743 0.257 0.750
Tb 0.606 0.394 0.061
Tb 0.394 0.606 0.939
Tb 0.394 0.606 0.561
Tb 0.606 0.394 0.439
B 0.980 0.020 0.093
B 0.020 0.980 0.907
B 0.020 0.980 0.593
B 0.980 0.020 0.407
B 0.773 0.227 0.033
B 0.227 0.773 0.967
B 0.227 0.773 0.533
B 0.773 0.227 0.467
B 0.866 0.134 0.147
B 0.134 0.866 0.853
B 0.134 0.866 0.647
B 0.866 0.134 0.353
B 0.042 0.958 0.250
B 0.958 0.042 0.750
Mo 0.446 0.554 0.250
Mo 0.554 0.446 0.750
CELL_PARAMETERS angstrom
-7.909 1.034 1.966
7.747 -2.445 1.218
2.058 8.436 3.842
```

Values from the calculation:
calculated formation energy	-0.635	eV per atom
E_tot	-356.33	eV/cell


This record from Materials Project describes crystalline TbB7Mo3 at its relaxed geometry. The functional is r²SCAN. Values from VASP.

Quantum ESPRESSO input file:
```
&SYSTEM
  ibrav = 0, nat = 44, ntyp = 3
/
ATOMIC_SPECIES
Tb 158.93 Tb.upf
B 10.81 B.upf
Mo 95.94 Mo.upf
ATOMIC_POSITIONS crystal
Tb 0.750 0.551 0.308
Tb 0.250 0.449 0.692
Tb 0.250 0.949 0.808
Tb 0.750 0.051 0.192
B 0.750 0.752 0.173
B 0.250 0.248 0.827
B 0.250 0.748 0.673
B 0.750 0.252 0.327
B 0.750 0.932 0.385
B 0.250 0.068 0.615
B 0.250 0.568 0.885
B 0.750 0.432 0.115
B 0.750 0.989 0.636
B 0.250 0.011 0.364
B 0.250 0.511 0.136
B 0.750 0.489 0.864
B 0.750 0.770 0.418
B 0.250 0.230 0.582
B 0.250 0.730 0.918
B 0.750 0.270 0.082
B 0.750 0.962 0.982
B 0.250 0.038 0.018
B 0.250 0.538 0.482
B 0.750 0.462 0.518
B 0.750 0.813 0.934
B 0.250 0.187 0.066
B 0.250 0.687 0.434
B 0.750 0.313 0.566
B 0.750 0.833 0.666
B 0.250 0.167 0.334
B 0.250 0.667 0.166
B 0.750 0.333 0.834
Mo 0.750 0.118 0.473
Mo 0.250 0.882 0.527
Mo 0.250 0.382 0.973
Mo 0.750 0.618 0.027
Mo 0.750 0.660 0.564
Mo 0.250 0.340 0.436
Mo 0.250 0.840 0.064
Mo 0.750 0.160 0.936
Mo 0.750 0.684 0.798
Mo 0.250 0.316 0.202
Mo 0.250 0.816 0.298
Mo 0.750 0.184 0.702
CELL_PARAMETERS angstrom
0.000 -3.100 0.000
-11.011 0.000 0.000
0.000 0.000 -12.884
```

Values from the calculation:
calculated formation energy	-0.591	eV per atom
E_tot	-669.49	eV/cell


This record from Materials Project describes crystalline ThB4Mo at its relaxed geometry. The functional is r²SCAN. Values from VASP.

Quantum ESPRESSO input file:
```
&SYSTEM
  ibrav = 0, nat = 12, ntyp = 3
/
ATOMIC_SPECIES
Th 232.04 Th.upf
B 10.81 B.upf
Mo 95.94 Mo.upf
ATOMIC_POSITIONS crystal
Th 0.000 0.698 0.302
Th 0.000 0.302 0.698
B 0.500 0.910 0.090
B 0.500 0.090 0.910
B 0.500 0.629 0.629
B 0.500 0.371 0.371
B 0.500 0.377 0.065
B 0.500 0.623 0.935
B 0.500 0.065 0.377
B 0.500 0.935 0.623
Mo 0.000 0.829 0.829
Mo 0.000 0.171 0.171
CELL_PARAMETERS angstrom
-1.709 3.365 -0.336
-3.694 -2.303 -4.273
-2.971 -0.986 5.236
```

Values from the calculation:
calculated formation energy	-0.599	eV per atom
E_tot	-265.05	eV/cell


This record from Materials Project describes crystalline TmB7Mo3 at its relaxed geometry. The functional is r²SCAN. Values from VASP.

Quantum ESPRESSO input file:
```
&SYSTEM
  ibrav = 0, nat = 44, ntyp = 3
/
ATOMIC_SPECIES
Tm 168.93 Tm.upf
B 10.81 B.upf
Mo 95.94 Mo.upf
ATOMIC_POSITIONS crystal
Tm 0.750 0.552 0.308
Tm 0.250 0.448 0.692
Tm 0.250 0.948 0.808
Tm 0.750 0.052 0.192
B 0.750 0.750 0.174
B 0.250 0.250 0.826
B 0.250 0.750 0.674
B 0.750 0.250 0.326
B 0.750 0.932 0.384
B 0.250 0.068 0.616
B 0.250 0.568 0.884
B 0.750 0.432 0.116
B 0.750 0.989 0.639
B 0.250 0.011 0.361
B 0.250 0.511 0.139
B 0.750 0.489 0.861
B 0.750 0.769 0.418
B 0.250 0.231 0.582
B 0.250 0.731 0.918
B 0.750 0.269 0.082
B 0.750 0.963 0.981
B 0.250 0.037 0.019
B 0.250 0.537 0.481
B 0.750 0.463 0.519
B 0.750 0.814 0.933
B 0.250 0.186 0.067
B 0.250 0.686 0.433
B 0.750 0.314 0.567
B 0.750 0.835 0.668
B 0.250 0.165 0.332
B 0.250 0.665 0.168
B 0.750 0.335 0.832
Mo 0.750 0.118 0.473
Mo 0.250 0.882 0.527
Mo 0.250 0.382 0.973
Mo 0.750 0.618 0.027
Mo 0.750 0.659 0.564
Mo 0.250 0.341 0.436
Mo 0.250 0.841 0.064
Mo 0.750 0.159 0.936
Mo 0.750 0.684 0.798
Mo 0.250 0.316 0.202
Mo 0.250 0.816 0.298
Mo 0.750 0.184 0.702
CELL_PARAMETERS angstrom
0.000 -3.088 0.000
-10.997 0.000 0.000
0.000 0.000 -12.781
```

Values from the calculation:
calculated formation energy	-0.602	eV per atom
E_tot	-685.54	eV/cell